[1]
Below is a relaxed MnCd4O5 crystal, with properties calculated at the meta-GGA r2SCAN level.

Cell: 6.5743 7.4042 10.9518 Å, 78.10 90.00 77.17°
Positions (direct):
Mn: 0.1003 0.5999 0.5992
Mn: 0.9999 0.0000 0.0009
Mn: 0.6003 0.5999 0.5992
Mn: 0.4999 0.0000 0.0009
Cd: 0.8000 0.8000 0.8000
Cd: 0.3000 0.8000 0.8000
Cd: 0.0499 0.8001 0.2999
Cd: 0.5499 0.8000 0.2999
Cd: 0.1490 0.4044 0.8951
Cd: 0.6490 0.4044 0.8951
Cd: 0.9510 0.1956 0.7049
Cd: 0.4510 0.1956 0.7049
Cd: 0.8499 0.5997 0.0987
Cd: 0.3499 0.5997 0.0987
Cd: 0.2500 0.0003 0.5013
Cd: 0.7500 0.0003 0.5013
Cd: 0.9004 0.3985 0.4036
Cd: 0.4004 0.3985 0.4036
Cd: 0.1997 0.2016 0.1964
Cd: 0.6997 0.2016 0.1964
O: 0.0271 0.8917 0.6491
O: 0.5271 0.8917 0.6491
O: 0.0729 0.7083 0.9509
O: 0.5729 0.7083 0.9509
O: 0.8729 0.5081 0.7359
O: 0.3729 0.5082 0.7359
O: 0.2272 0.0918 0.8641
O: 0.7272 0.0918 0.8641
O: 0.7727 0.9081 0.1377
O: 0.2727 0.9081 0.1377
O: 0.8271 0.6920 0.4623
O: 0.3271 0.6920 0.4623
O: 0.1245 0.5021 0.2514
O: 0.6245 0.5021 0.2514
O: 0.9756 0.0980 0.3486
O: 0.4756 0.0980 0.3486
O: 0.1735 0.3060 0.5560
O: 0.6735 0.3060 0.5560
O: 0.9266 0.2939 0.0440
O: 0.4266 0.2939 0.0440

Properties
- Polymorph energy (0 for the lowest one): 7 meV per atom
- Theoretical density: 7.64 g cm⁻³
- Magnetic moment: 4.94 μB/f.u.
- Formation energy: -1372 meV per atom
- Uncorrected energy: -13.8685 eV/atom
- V: 12.7 A^3/atom



[2]
Below is a relaxed NaZr2NiF11 crystal, with properties calculated at the meta-GGA r2SCAN level.

Cell: 5.6174 5.6174 7.7463 Å, 110.81 110.81 72.72°
Positions (direct):
Na: 0.0000 0.0000 0.0000
Zr: 0.4925 0.4925 0.7630
Zr: 0.5075 0.5075 0.2370
Ni: 0.0000 0.0000 0.5000
F: 0.1840 0.7807 0.6855
F: 0.2193 0.8160 0.3145
F: 0.2433 0.2433 0.6485
F: 0.2665 0.2665 0.1090
F: 0.3266 0.6734 0.0000
F: 0.5000 0.5000 0.5000
F: 0.6734 0.3266 0.0000
F: 0.7335 0.7335 0.8910
F: 0.7567 0.7567 0.3515
F: 0.7807 0.1840 0.6855
F: 0.8160 0.2193 0.3145

Properties
- Theoretical density: 3.75 g cm⁻³
- Magnetic moment: 2.00 μB/f.u.
- Formation energy: -3549 meV per atom
- Uncorrected energy: -9.9112 eV/atom
- V: 14.0 A^3/atom



[3]
Below is a relaxed BaLa2S4 crystal, with properties calculated at the meta-GGA r2SCAN level.

Cell: 7.7726 7.7726 7.7726 Å, 109.29 109.29 109.83°
Positions (direct):
Ba: 0.0000 0.0000 0.0000
Ba: 0.7500 0.2500 0.5000
La: 0.2501 0.6250 0.1251
La: 0.3750 0.5001 0.6251
La: 0.4999 0.1250 0.8749
La: 0.8750 0.7499 0.3749
S: 0.1405 0.7333 0.7460
S: 0.1446 0.2374 0.7540
S: 0.2667 0.0126 0.4072
S: 0.4833 0.3905 0.2460
S: 0.6054 0.8595 0.5928
S: 0.6095 0.8554 0.0928
S: 0.7626 0.5167 0.9072
S: 0.9874 0.3946 0.2540

Properties
- Theoretical density: 4.99 g cm⁻³
- Magnetic moment: 0.00 μB/f.u.
- Formation energy: -2452 meV per atom
- Uncorrected energy: -19.3272 eV/atom
- V: 25.8 A^3/atom



[4]
Below is a relaxed Ni crystal, with properties calculated at the meta-GGA r2SCAN level.

Cell: 2.4573 2.4573 2.4573 Å, 60.00 60.00 60.00°
Positions (direct):
Ni: 0.0000 0.0000 0.0000

Properties
- Polymorph energy (0 for the lowest one): 0 meV per atom
- Theoretical density: 9.29 g cm⁻³
- Magnetic moment: 0.71 μB/f.u.
- Formation energy: 0 meV per atom
- Uncorrected energy: -11.9817 eV/atom
- V: 10.5 A^3/atom



[5]
Below is a relaxed Mg4Zn7 crystal, with properties calculated at the meta-GGA r2SCAN level.

Cell: 5.1255 13.0241 13.9860 Å, 102.18 90.04 101.31°
Positions (direct):
Mg: 0.0000 0.0000 0.0000
Mg: 0.0157 0.0328 0.5743
Mg: 0.0515 0.1072 0.2258
Mg: 0.1440 0.2855 0.6101
Mg: 0.1686 0.3395 0.4185
Mg: 0.1871 0.3710 0.2286
Mg: 0.2114 0.4249 0.0371
Mg: 0.3002 0.6042 0.4214
Mg: 0.3373 0.6753 0.0709
Mg: 0.3532 0.7108 0.6468
Mg: 0.3908 0.7822 0.2961
Mg: 0.4804 0.9645 0.6754
Mg: 0.5357 0.0721 0.9008
Mg: 0.6189 0.2389 0.2776
Mg: 0.6620 0.3247 0.9270
Mg: 0.6920 0.3851 0.7204
Mg: 0.7346 0.4702 0.3695
Mg: 0.8192 0.6387 0.7459
Mg: 0.8741 0.7466 0.9714
Mg: 0.9609 0.9256 0.3491
Zn: 0.0080 0.0176 0.7879
Zn: 0.0104 0.5305 0.8953
Zn: 0.0440 0.5674 0.2208
Zn: 0.0981 0.1987 0.9163
Zn: 0.1625 0.8194 0.4969
Zn: 0.1772 0.3551 0.8235
Zn: 0.1770 0.8552 0.8231
Zn: 0.1907 0.8907 0.1492
Zn: 0.2547 0.5121 0.7308
Zn: 0.3101 0.1421 0.4257
Zn: 0.3441 0.1799 0.7516
Zn: 0.3469 0.6932 0.8588
Zn: 0.3560 0.2171 0.0775
Zn: 0.4361 0.8729 0.9859
Zn: 0.4885 0.9792 0.4633
Zn: 0.4933 0.4934 0.5693
Zn: 0.5070 0.0165 0.2878
Zn: 0.5197 0.5304 0.8951
Zn: 0.5248 0.5675 0.2206
Zn: 0.5263 0.0549 0.1103
Zn: 0.5790 0.1601 0.5916
Zn: 0.6538 0.8194 0.4967
Zn: 0.6591 0.3183 0.5011
Zn: 0.6766 0.8554 0.8229
Zn: 0.6960 0.3918 0.1460
Zn: 0.6993 0.8907 0.1494
Zn: 0.7749 0.5496 0.0549
Zn: 0.8245 0.6555 0.5363
Zn: 0.8300 0.1422 0.4257
Zn: 0.8351 0.1799 0.7515
Zn: 0.8465 0.6931 0.3585
Zn: 0.8602 0.2170 0.0780
Zn: 0.8652 0.7305 0.1826
Zn: 0.9180 0.8378 0.6603
Zn: 0.9970 0.4936 0.5696

Properties
- Theoretical density: 5.16 g cm⁻³
- Magnetic moment: 0.00 μB/f.u.
- Formation energy: -146 meV per atom
- Uncorrected energy: -7.3330 eV/atom
- V: 16.3 A^3/atom



[6]
Below is a relaxed Zr5CuSn3 crystal, with properties calculated at the meta-GGA r2SCAN level.

Cell: 8.6463 8.6463 5.8787 Å, 90.00 90.00 120.00°
Positions (direct):
Zr: 0.0000 0.2617 0.2500
Zr: 0.0000 0.7383 0.7500
Zr: 0.2617 0.0000 0.2500
Zr: 0.2617 0.2617 0.7500
Zr: 0.3333 0.6667 0.0000
Zr: 0.3333 0.6667 0.5000
Zr: 0.6667 0.3333 0.0000
Zr: 0.6667 0.3333 0.5000
Zr: 0.7383 0.0000 0.7500
Zr: 0.7383 0.7383 0.2500
Cu: 0.0000 0.0000 0.0000
Cu: 0.0000 0.0000 0.5000
Sn: 0.0000 0.3864 0.7500
Sn: 0.0000 0.6136 0.2500
Sn: 0.3864 0.0000 0.7500
Sn: 0.3864 0.3864 0.2500
Sn: 0.6136 0.0000 0.2500
Sn: 0.6136 0.6136 0.7500

Properties
- Theoretical density: 7.64 g cm⁻³
- Magnetic moment: 0.00 μB/f.u.
- Formation energy: -599 meV per atom
- Uncorrected energy: -22.6919 eV/atom
- V: 21.1 A^3/atom



[7]
Below is a relaxed Tm6Co2Sn crystal, with properties calculated at the meta-GGA r2SCAN level.

Cell: 8.2022 8.2022 8.2022 Å, 111.32 109.40 107.71°
Positions (direct):
Tm: 0.0262 0.2360 0.7902
Tm: 0.1830 0.2838 0.4668
Tm: 0.1830 0.7162 0.8992
Tm: 0.3252 0.0122 0.6870
Tm: 0.3252 0.6382 0.3130
Tm: 0.4458 0.2360 0.2098
Tm: 0.5542 0.7640 0.7902
Tm: 0.6748 0.3618 0.6870
Tm: 0.6748 0.9878 0.3130
Tm: 0.8170 0.2838 0.1008
Tm: 0.8170 0.7162 0.5332
Tm: 0.9738 0.7640 0.2098
Co: 0.1135 0.6135 0.5000
Co: 0.3427 0.0000 0.3427
Co: 0.6573 0.0000 0.6573
Co: 0.8865 0.3865 0.5000
Sn: 0.0000 0.0000 0.0000
Sn: 0.5000 0.5000 0.0000

Properties
- Theoretical density: 9.78 g cm⁻³
- Magnetic moment: 0.00 μB/f.u.
- Formation energy: -341 meV per atom
- Uncorrected energy: -29.4458 eV/atom
- V: 23.6 A^3/atom



[8]
Below is a relaxed V2Co3O8 crystal, with properties calculated at the meta-GGA r2SCAN level.

Cell: 6.4588 6.4588 8.2761 Å, 90.00 90.00 125.16°
Positions (direct):
V: 0.1242 0.8758 0.8819
V: 0.3758 0.6242 0.3819
V: 0.6242 0.3758 0.6181
V: 0.8758 0.1242 0.1181
Co: 0.0000 0.0000 0.5000
Co: 0.1185 0.3815 0.7500
Co: 0.3815 0.1185 0.2500
Co: 0.5000 0.5000 0.0000
Co: 0.6185 0.8815 0.7500
Co: 0.8815 0.6185 0.2500
O: 0.0019 0.9981 0.7467
O: 0.1162 0.3524 0.9975
O: 0.1476 0.3838 0.5025
O: 0.2472 0.7528 0.2706
O: 0.2528 0.7472 0.7706
O: 0.3524 0.1162 0.0025
O: 0.3838 0.1476 0.4975
O: 0.4981 0.5019 0.2467
O: 0.5019 0.4981 0.7533
O: 0.6162 0.8524 0.5025
O: 0.6476 0.8838 0.9975
O: 0.7472 0.2528 0.2294
O: 0.7528 0.2472 0.7294
O: 0.8524 0.6162 0.4975
O: 0.8838 0.6476 0.0025
O: 0.9981 0.0019 0.2533

Properties
- Theoretical density: 4.79 g cm⁻³
- Magnetic moment: 9.00 μB/f.u.
- Formation energy: -1940 meV per atom
- Uncorrected energy: -10.8371 eV/atom
- V: 10.9 A^3/atom



[9]
Below is a relaxed Ba2ZnSe3 crystal, with properties calculated at the meta-GGA r2SCAN level.

Cell: 9.2261 4.4440 17.8117 Å, 90.00 90.00 90.00°
Positions (direct):
Ba: 0.0826 0.2500 0.2127
Ba: 0.2487 0.7500 0.4563
Ba: 0.2513 0.2500 0.9563
Ba: 0.4174 0.7500 0.7127
Ba: 0.5826 0.2500 0.2873
Ba: 0.7487 0.7500 0.0437
Ba: 0.7513 0.2500 0.5437
Ba: 0.9174 0.7500 0.7873
Zn: 0.1367 0.2500 0.6360
Zn: 0.3633 0.7500 0.1360
Zn: 0.6367 0.2500 0.8640
Zn: 0.8633 0.7500 0.3640
Se: 0.0074 0.7500 0.6021
Se: 0.1281 0.7500 0.0711
Se: 0.1805 0.2500 0.7728
Se: 0.3195 0.7500 0.2728
Se: 0.3719 0.2500 0.5711
Se: 0.4926 0.2500 0.1021
Se: 0.5074 0.7500 0.8979
Se: 0.6281 0.7500 0.4289
Se: 0.6805 0.2500 0.7272
Se: 0.8195 0.7500 0.2272
Se: 0.8719 0.2500 0.9289
Se: 0.9926 0.2500 0.3979

Properties
- Theoretical density: 5.25 g cm⁻³
- Magnetic moment: 0.00 μB/f.u.
- Formation energy: -1827 meV per atom
- Uncorrected energy: -19.3013 eV/atom
- V: 30.4 A^3/atom



[10]
Below is a relaxed Tl2CuF4 crystal, with properties calculated at the meta-GGA r2SCAN level.

Cell: 7.3297 7.3297 7.3297 Å, 146.97 146.97 47.41°
Positions (direct):
Tl: 0.1446 0.1446 0.0000
Tl: 0.8554 0.8554 0.0000
Cu: 0.5000 0.5000 0.0000
F: 0.0000 0.5000 0.5000
F: 0.3589 0.3589 0.0000
F: 0.5000 0.0000 0.5000
F: 0.6411 0.6411 0.0000

Properties
- Theoretical density: 7.81 g cm⁻³
- Magnetic moment: 1.00 μB/f.u.
- Formation energy: -1887 meV per atom
- Uncorrected energy: -20.4170 eV/atom
- V: 16.7 A^3/atom



[11]
Below is a relaxed Tb2Si3Pd crystal, with properties calculated at the meta-GGA r2SCAN level.

Cell: 8.1312 8.1312 8.1766 Å, 90.00 90.00 120.00°
Positions (direct):
Tb: 0.4999 0.9998 0.2500
Tb: 0.5001 0.0002 0.7500
Tb: 0.0002 0.5001 0.2500
Tb: 0.9998 0.4999 0.7500
Tb: 0.4999 0.5001 0.2500
Tb: 0.5001 0.4999 0.7500
Tb: 0.0000 0.0000 0.2500
Tb: 0.0000 0.0000 0.7500
Si: 0.1659 0.3317 0.9998
Si: 0.8342 0.6683 0.0002
Si: 0.6683 0.8341 0.9998
Si: 0.8341 0.6683 0.4998
Si: 0.3317 0.1658 0.0002
Si: 0.1659 0.3317 0.5002
Si: 0.1659 0.8341 0.9998
Si: 0.3317 0.1659 0.4998
Si: 0.8342 0.1659 0.0002
Si: 0.6683 0.8341 0.5002
Si: 0.8341 0.1658 0.4998
Si: 0.1659 0.8341 0.5002
Pd: 0.3333 0.6667 0.0000
Pd: 0.6667 0.3333 0.0000
Pd: 0.6667 0.3333 0.5000
Pd: 0.3333 0.6667 0.5000

Properties
- Theoretical density: 7.21 g cm⁻³
- Magnetic moment: 0.00 μB/f.u.
- Formation energy: -977 meV per atom
- Uncorrected energy: -19.5996 eV/atom
- V: 19.5 A^3/atom



[12]
Below is a relaxed Ho2Se3 crystal, with properties calculated at the meta-GGA r2SCAN level.

Cell: 13.4515 12.8396 7.0323 Å, 79.35 69.73 30.92°
Positions (direct):
Ho: 0.0409 0.0409 0.2091
Ho: 0.1278 0.1278 0.6222
Ho: 0.2091 0.2091 0.0409
Ho: 0.3778 0.3778 0.8722
Ho: 0.6222 0.6222 0.1278
Ho: 0.7909 0.7909 0.9591
Ho: 0.8722 0.8722 0.3778
Ho: 0.9591 0.9591 0.7909
Se: 0.0493 0.5390 0.1947
Se: 0.1165 0.6335 0.6335
Se: 0.1947 0.7170 0.0493
Se: 0.2830 0.8053 0.4610
Se: 0.3665 0.8835 0.8835
Se: 0.4610 0.9507 0.2830
Se: 0.5390 0.0493 0.7170
Se: 0.6335 0.1165 0.1165
Se: 0.7170 0.1947 0.5390
Se: 0.8053 0.2830 0.9507
Se: 0.8835 0.3665 0.3665
Se: 0.9507 0.4610 0.8053

Properties
- Theoretical density: 6.61 g cm⁻³
- Magnetic moment: 0.00 μB/f.u.
- Formation energy: -2185 meV per atom
- Uncorrected energy: -23.9244 eV/atom
- V: 28.5 A^3/atom